w) ## Li2Cr3FeO8 (GGA+U)

Data for crystalline Li2Cr3FeO8 at its relaxed geometry.

The value obtained for the total moment is 0.8571 μB per atom.

abc: 5.172 7.674 7.605
angles: 81.69 70.58 84.85
Atoms (fractional coordinates):
1 Li 0.001 0.002 0.995
2 Li 0.996 0.505 0.500
3 Li 0.004 0.244 0.250
4 Li 0.998 0.748 0.756
5 Cr 0.485 0.815 0.077
6 Cr 0.515 0.436 0.187
7 Cr 0.485 0.314 0.563
8 Cr 0.517 0.186 0.935
9 Cr 0.484 0.564 0.814
10 Cr 0.515 0.936 0.673
11 Fe 0.488 0.061 0.314
12 Fe 0.512 0.689 0.437
13 O 0.279 0.035 0.152
14 O 0.306 0.395 0.028
15 O 0.302 0.643 0.287
16 O 0.283 0.277 0.396
17 O 0.295 0.896 0.519
18 O 0.278 0.537 0.644
19 O 0.312 0.145 0.773
20 O 0.721 0.213 0.106
21 O 0.288 0.786 0.894
22 O 0.717 0.474 0.354
23 O 0.699 0.107 0.462
24 O 0.704 0.854 0.231
25 O 0.693 0.354 0.722
26 O 0.721 0.715 0.598
27 O 0.712 0.964 0.855
28 O 0.688 0.605 0.977

=====

x) ## Li2Cr3FeO8 (GGA+U)

Data for crystalline Li2Cr3FeO8 at its relaxed geometry.

The value obtained for the total moment is 0.8571 μB per atom.

abc: 5.258 7.761 7.834
angles: 95.20 94.62 108.86
Atoms (fractional coordinates):
1 Li 0.998 0.998 0.002
2 Li 0.495 0.500 0.498
3 Li 0.253 0.256 0.757
4 Li 0.746 0.749 0.247
5 Cr 0.553 0.065 0.186
6 Cr 0.704 0.183 0.562
7 Cr 0.046 0.569 0.688
8 Cr 0.453 0.929 0.811
9 Cr 0.292 0.818 0.437
10 Cr 0.205 0.682 0.063
11 Fe 0.797 0.322 0.940
12 Fe 0.952 0.432 0.312
13 O 0.425 0.143 0.971
14 O 0.340 0.025 0.600
15 O 0.582 0.276 0.362
16 O 0.678 0.399 0.710
17 O 0.835 0.534 0.109
18 O 0.930 0.656 0.471
19 O 0.084 0.773 0.851
20 O 0.817 0.103 0.773
21 O 0.188 0.903 0.219
22 O 0.074 0.358 0.540
23 O 0.167 0.467 0.888
24 O 0.907 0.207 0.148
25 O 0.407 0.714 0.637
26 O 0.330 0.612 0.292
27 O 0.578 0.856 0.035
28 O 0.666 0.970 0.391

=====

y) ## Li2Cr3FeO8 (GGA+U)

Data for crystalline Li2Cr3FeO8 at its relaxed geometry.

The value obtained for the total moment is 0.8571 μB per atom.

abc: 5.890 5.890 5.890
angles: 60.22 60.22 60.22
Atoms (fractional coordinates):
1 Li 0.876 0.876 0.876
2 Li 0.500 0.500 0.500
3 Cr 0.989 0.502 0.502
4 Cr 0.502 0.989 0.502
5 Cr 0.502 0.502 0.989
6 Fe 0.119 0.119 0.119
7 O 0.739 0.739 0.739
8 O 0.751 0.751 0.286
9 O 0.751 0.286 0.751
10 O 0.286 0.751 0.751
11 O 0.724 0.252 0.252
12 O 0.252 0.724 0.252
13 O 0.252 0.252 0.724
14 O 0.256 0.256 0.256

=====

Stability ranking, top and bottom: y) is the most stable and w) is the least stable.